Record 1
First-principles (GGA-PBE) data for a relaxed LiMg14W crystal, as listed in the Materials Project database.

Calculated values
**Energy above the most stable polymorph in this dataset**: 0 meV/atom
**Crystal system**: hexagonal
**SG**: P-6m2

Cell: 6.2993 6.2993 9.9532 Å, 90.00 90.00 120.00°
With the nearest neighbours (Å) after each atom.
Element x y z (fractional)
1 Li 0.0000 0.0000 0.0000  12 Mg 3.10-3.15
2 Mg 0.0010 0.5005 0.5000  10 Mg 3.04-3.16, 2 W 3.15
3 Mg 0.0029 0.5015 0.0000  10 Mg 3.09-3.18, 2 Li 3.15
4 Mg 0.1597 0.3195 0.2574  1 W 2.98, 10 Mg 3.02-3.28, 1 Li 3.10
5 Mg 0.1597 0.3195 0.7426  1 W 2.98, 10 Mg 3.02-3.28, 1 Li 3.10
6 Mg 0.1597 0.8403 0.2574  1 W 2.98, 10 Mg 3.02-3.28, 1 Li 3.10
7 Mg 0.1597 0.8403 0.7426  1 W 2.98, 10 Mg 3.02-3.28, 1 Li 3.10
8 Mg 0.4985 0.5015 0.0000  10 Mg 3.09-3.18, 2 Li 3.15
9 Mg 0.4995 0.5005 0.5000  10 Mg 3.04-3.16, 2 W 3.15
10 Mg 0.4985 0.9971 0.0000  10 Mg 3.09-3.18, 2 Li 3.15
11 Mg 0.4995 0.9990 0.5000  10 Mg 3.04-3.16, 2 W 3.15
12 Mg 0.6667 0.3333 0.2500  12 Mg 3.09-3.15
13 Mg 0.6667 0.3333 0.7500  12 Mg 3.09-3.15
14 Mg 0.6805 0.8403 0.2574  1 W 2.98, 10 Mg 3.02-3.28, 1 Li 3.10
15 Mg 0.6805 0.8403 0.7426  1 W 2.98, 10 Mg 3.02-3.28, 1 Li 3.10
16 W 0.0000 0.0000 0.5000  12 Mg 2.98-3.15



Record 2
First-principles (GGA-PBE) data for a relaxed Sm3Sn13Ir4 crystal, as listed in the Materials Project database.

Calculated values
**Energy**: -5.575 eV/atom
**Crystal system**: cubic
**SG**: Pm-3n

Cell: 9.8042 9.8042 9.8042 Å, 90.00 90.00 90.00°
With the nearest neighbours (Å) after each atom.
Element x y z (fractional)
1 Sm 0.0000 0.2500 0.5000  12 Sn 3.44-3.46, 4 Ir 3.47
2 Sm 0.0000 0.7500 0.5000  12 Sn 3.44-3.46, 4 Ir 3.47
3 Sm 0.2500 0.5000 0.0000  12 Sn 3.44-3.46, 4 Ir 3.47
4 Sm 0.5000 0.0000 0.2500  12 Sn 3.44-3.46, 4 Ir 3.47
5 Sm 0.5000 0.0000 0.7500  12 Sn 3.44-3.46, 4 Ir 3.47
6 Sm 0.7500 0.5000 0.0000  12 Sn 3.44-3.46, 4 Ir 3.47
7 Sn 0.0000 0.0000 0.0000  12 Sn 3.35
8 Sn 0.0000 0.3060 0.1520  2 Ir 2.69, 1 Sn 2.98
9 Sn 0.0000 0.3060 0.8480  2 Ir 2.69, 1 Sn 2.98
10 Sn 0.0000 0.6940 0.1520  2 Ir 2.69, 1 Sn 2.98
11 Sn 0.0000 0.6940 0.8480  2 Ir 2.69, 1 Sn 2.98
12 Sn 0.1520 0.0000 0.3060  2 Ir 2.69, 1 Sn 2.98
13 Sn 0.1520 0.0000 0.6940  2 Ir 2.69, 1 Sn 2.98
14 Sn 0.1940 0.5000 0.3480  2 Ir 2.69, 1 Sn 2.98
15 Sn 0.1940 0.5000 0.6520  2 Ir 2.69, 1 Sn 2.98
16 Sn 0.3060 0.1520 0.0000  2 Ir 2.69, 1 Sn 2.98
17 Sn 0.3060 0.8480 0.0000  2 Ir 2.69, 1 Sn 2.98
18 Sn 0.3480 0.1940 0.5000  2 Ir 2.69, 1 Sn 2.98
19 Sn 0.3480 0.8060 0.5000  2 Ir 2.69, 1 Sn 2.98
20 Sn 0.5000 0.3480 0.1940  2 Ir 2.69, 1 Sn 2.98
21 Sn 0.5000 0.3480 0.8060  2 Ir 2.69, 1 Sn 2.98
22 Sn 0.5000 0.5000 0.5000  12 Sn 3.35
23 Sn 0.5000 0.6520 0.1940  2 Ir 2.69, 1 Sn 2.98
24 Sn 0.5000 0.6520 0.8060  2 Ir 2.69, 1 Sn 2.98
25 Sn 0.6520 0.1940 0.5000  2 Ir 2.69, 1 Sn 2.98
26 Sn 0.6520 0.8060 0.5000  2 Ir 2.69, 1 Sn 2.98
27 Sn 0.6940 0.1520 0.0000  2 Ir 2.69, 1 Sn 2.98
28 Sn 0.6940 0.8480 0.0000  2 Ir 2.69, 1 Sn 2.98
29 Sn 0.8060 0.5000 0.3480  2 Ir 2.69, 1 Sn 2.98
30 Sn 0.8060 0.5000 0.6520  2 Ir 2.69, 1 Sn 2.98
31 Sn 0.8480 0.0000 0.3060  2 Ir 2.69, 1 Sn 2.98
32 Sn 0.8480 0.0000 0.6940  2 Ir 2.69, 1 Sn 2.98
33 Ir 0.2500 0.2500 0.2500  6 Sn 2.69
34 Ir 0.2500 0.2500 0.7500  6 Sn 2.69
35 Ir 0.2500 0.7500 0.2500  6 Sn 2.69
36 Ir 0.2500 0.7500 0.7500  6 Sn 2.69
37 Ir 0.7500 0.2500 0.2500  6 Sn 2.69
38 Ir 0.7500 0.2500 0.7500  6 Sn 2.69
39 Ir 0.7500 0.7500 0.2500  6 Sn 2.69
40 Ir 0.7500 0.7500 0.7500  6 Sn 2.69



Record 3
First-principles (GGA-PBE) data for a relaxed Cu2SnSe3 crystal, as listed in the Materials Project database.

Calculated values
**Energy**: -4.060 eV/atom
**Crystal system**: orthorhombic
**SG**: Fdd2

Cell: 13.4638 7.0437 12.8473 Å, 79.37 30.94 69.69°
With the nearest neighbours (Å) after each atom.
Element x y z (fractional)
1 Cu 0.0000 0.0000 0.0000  4 Se 2.42
2 Cu 0.0970 0.4094 0.0693  4 Se 2.41-2.48
3 Cu 0.1807 0.8257 0.1530  4 Se 2.41-2.48
4 Cu 0.2500 0.2500 0.2500  4 Se 2.42
5 Cu 0.4094 0.0970 0.4243  4 Se 2.41-2.48
6 Cu 0.4906 0.4906 0.5094  4 Se 2.41-2.46
7 Cu 0.7406 0.7406 0.7594  4 Se 2.41-2.46
8 Cu 0.8257 0.1807 0.8406  4 Se 2.41-2.48
9 Sn 0.3413 0.6564 0.3186  4 Se 2.59-2.69
10 Sn 0.5662 0.9314 0.5936  4 Se 2.59-2.69
11 Sn 0.6564 0.3413 0.6838  4 Se 2.59-2.69
12 Sn 0.9314 0.5662 0.9087  4 Se 2.59-2.69
13 Se 0.0482 0.1801 0.7850  3 Cu 2.41-2.42, 1 Sn 2.60
14 Se 0.1354 0.6311 0.8754  3 Cu 2.41-2.42, 1 Sn 2.59
15 Se 0.1801 0.0482 0.9867  3 Cu 2.41-2.42, 1 Sn 2.60
16 Se 0.2633 0.4650 0.0699  3 Cu 2.41-2.42, 1 Sn 2.60
17 Se 0.3746 0.8918 0.1146  3 Cu 2.41-2.42, 1 Sn 2.59
18 Se 0.4650 0.2633 0.2018  3 Cu 2.41-2.42, 1 Sn 2.60
19 Se 0.5318 0.7205 0.3122  2 Cu 2.46-2.48, 2 Sn 2.68-2.69
20 Se 0.6310 0.1354 0.3582  3 Cu 2.41-2.42, 1 Sn 2.59
21 Se 0.7205 0.5318 0.4354  2 Cu 2.46-2.48, 2 Sn 2.68-2.69
22 Se 0.8146 0.9378 0.5295  2 Cu 2.46-2.48, 2 Sn 2.68-2.69
23 Se 0.8918 0.3746 0.6189  3 Cu 2.41-2.42, 1 Sn 2.59
24 Se 0.9378 0.8146 0.7182  2 Cu 2.46-2.48, 2 Sn 2.68-2.69